{"formula": "Zn3P2H8O12", "functional": "PBE", "state": "optimized geometry", "cell": [[10.8257, 0.0000, 0.0000], [0.0000, 18.6931, 0.0000], [0.0000, 0.0000, 5.0806]], "species": ["Zn", "Zn", "Zn", "Zn", "Zn", "Zn", "Zn", "Zn", "Zn", "Zn", "Zn", "Zn", "P", "P", "P", "P", "P", "P", "P", "P", "H", "H", "H", "H", "H", "H", "H", "H", "H", "H", "H", "H", "H", "H", "H", "H", "H", "H", "H", "H", "H", "H", "H", "H", "H", "H", "H", "H", "H", "H", "H", "H", "O", "O", "O", "O", "O", "O", "O", "O", "O", "O", "O", "O", "O", "O", "O", "O", "O", "O", "O", "O", "O", "O", "O", "O", "O", "O", "O", "O", "O", "O", "O", "O", "O", "O", "O", "O", "O", "O", "O", "O", "O", "O", "O", "O", "O", "O", "O", "O"], "fractional_positions": [[0.1444, 0.0021, 0.2162], [0.1444, 0.4979, 0.2162], [0.2338, 0.7500, 0.5807], [0.2662, 0.2500, 0.0807], [0.3556, 0.5021, 0.7162], [0.3556, 0.9979, 0.7162], [0.6444, 0.0021, 0.2838], [0.6444, 0.4979, 0.2838], [0.7338, 0.7500, 0.9193], [0.7662, 0.2500, 0.4193], [0.8556, 0.5021, 0.7838], [0.8556, 0.9979, 0.7838], [0.1030, 0.5949, 0.7300], [0.1030, 0.9051, 0.7300], [0.3970, 0.0949, 0.2300], [0.3970, 0.4051, 0.2300], [0.6030, 0.5949, 0.7700], [0.6030, 0.9051, 0.7700], [0.8970, 0.0949, 0.2700], [0.8970, 0.4051, 0.2700], [0.0295, 0.2500, 0.3157], [0.1104, 0.1418, 0.9548], [0.1104, 0.3582, 0.9548], [0.1105, 0.7094, 0.1267], [0.1105, 0.7906, 0.1267], [0.1302, 0.2500, 0.5372], [0.2418, 0.1344, 0.8269], [0.2418, 0.3656, 0.8269], [0.2582, 0.6344, 0.3269], [0.2582, 0.8656, 0.3269], [0.3698, 0.7500, 0.0372], [0.3895, 0.2094, 0.6267], [0.3895, 0.2906, 0.6267], [0.3896, 0.6418, 0.4548], [0.3896, 0.8582, 0.4548], [0.4705, 0.7500, 0.8157], [0.5295, 0.2500, 0.1843], [0.6104, 0.1418, 0.5452], [0.6104, 0.3582, 0.5452], [0.6105, 0.7094, 0.3733], [0.6105, 0.7906, 0.3733], [0.6302, 0.2500, 0.9628], [0.7418, 0.1344, 0.6731], [0.7418, 0.3656, 0.6731], [0.7582, 0.6344, 0.1731], [0.7582, 0.8656, 0.1731], [0.8698, 0.7500, 0.4628], [0.8895, 0.2094, 0.8733], [0.8895, 0.2906, 0.8733], [0.8896, 0.6418, 0.0452], [0.8896, 0.8582, 0.0452], [0.9705, 0.7500, 0.6843], [0.0269, 0.0779, 0.1558], [0.0269, 0.4221, 0.1558], [0.1031, 0.7500, 0.2516], [0.1125, 0.5821, 0.4293], [0.1125, 0.9179, 0.4293], [0.1185, 0.2500, 0.3468], [0.1354, 0.6725, 0.7963], [0.1354, 0.8275, 0.7963], [0.1733, 0.1686, 0.8520], [0.1733, 0.3314, 0.8520], [0.1963, 0.5404, 0.8682], [0.1963, 0.9596, 0.8682], [0.3037, 0.0404, 0.3682], [0.3037, 0.4596, 0.3682], [0.3267, 0.6686, 0.3520], [0.3267, 0.8314, 0.3520], [0.3646, 0.1725, 0.2963], [0.3646, 0.3275, 0.2963], [0.3815, 0.7500, 0.8468], [0.3875, 0.0821, 0.9293], [0.3875, 0.4179, 0.9293], [0.3969, 0.2500, 0.7516], [0.4731, 0.5779, 0.6558], [0.4731, 0.9221, 0.6558], [0.5269, 0.0779, 0.3442], [0.5269, 0.4221, 0.3442], [0.6031, 0.7500, 0.2484], [0.6125, 0.5821, 0.0707], [0.6125, 0.9179, 0.0707], [0.6185, 0.2500, 0.1532], [0.6354, 0.6725, 0.7037], [0.6354, 0.8275, 0.7037], [0.6733, 0.1686, 0.6480], [0.6733, 0.3314, 0.6480], [0.6963, 0.5404, 0.6318], [0.6963, 0.9596, 0.6318], [0.8037, 0.0404, 0.1318], [0.8037, 0.4596, 0.1318], [0.8267, 0.6686, 0.1480], [0.8267, 0.8314, 0.1480], [0.8646, 0.1725, 0.2037], [0.8646, 0.3275, 0.2037], [0.8815, 0.7500, 0.6532], [0.8875, 0.0821, 0.5707], [0.8875, 0.4179, 0.5707], [0.8969, 0.2500, 0.7484], [0.9731, 0.5779, 0.8442], [0.9731, 0.9221, 0.8442]], "polymorph_energy_mev_per_atom": 0, "magnetic_moment_mub_per_fu": 0.00, "delta_e_f_ev_per_atom": -1.825}